{
  "formula": "VInO4",
  "functional": "PBE+U",
  "state": "relaxed",
  "mass_density_g_cm3": 4.4,
  "energy_ev_per_atom": -6.728,
  "cell": [[-0.3767, -5.7925, 4.0888], [0.2614, -4.5938, -5.4077], [6.8972, -1.9673, 0.2151]],
  "species": ["V", "V", "V", "V", "In", "In", "In", "In", "O", "O", "O", "O", "O", "O", "O", "O", "O", "O", "O", "O", "O", "O", "O", "O"],
  "frac_coords": [[0.7470, 0.2530, 0.0000], [0.2530, 0.7470, 0.0000], [0.7253, 0.7253, 0.4075], [0.2747, 0.2747, 0.5925], [0.8133, 0.1867, 0.5000], [0.1867, 0.8133, 0.5000], [0.2101, 0.2101, 0.1299], [0.7899, 0.7899, 0.8701], [0.8587, 0.8587, 0.5405], [0.1413, 0.1413, 0.4595], [0.2084, 0.2084, 0.8363], [0.7916, 0.7916, 0.1637], [0.2170, 0.5156, 0.1068], [0.4844, 0.7830, 0.8932], [0.7830, 0.4844, 0.8932], [0.5156, 0.2170, 0.1068], [0.7970, 0.1078, 0.8123], [0.8922, 0.2030, 0.1877], [0.2030, 0.8922, 0.1877], [0.1078, 0.7970, 0.8123], [0.5107, 0.2121, 0.5233], [0.7879, 0.4893, 0.4767], [0.4893, 0.7879, 0.4767], [0.2121, 0.5107, 0.5233]]
}